(1)
Density functional theory data (GGA+U) for a geometry-optimized K2RbCoF6 structure.

extended XYZ file:
```
10
Lattice="0.000 4.477 4.477 4.477 0.000 4.477 4.477 4.477 0.000" Properties=species:S:1:pos:R:3 pbc="T T T"
K 2.239 2.239 2.239
K 6.716 6.716 6.716
Rb 0.000 0.000 0.000
Co 4.477 4.477 4.477
F 4.477 4.477 2.608
F 4.477 2.608 4.477
F 6.347 4.477 4.477
F 2.608 4.477 4.477
F 4.477 6.347 4.477
F 4.477 4.477 6.347
```

- space-group type = Fm-3m
- V (A^3/atom) = 17.95
- ΔE_f (eV per formula unit) = -26.68

(2)
Density functional theory data (GGA+U) for a geometry-optimized Li2MnP2O7 structure.

extended XYZ file:
```
48
Lattice="6.816 0.000 0.000 -0.001 7.252 0.000 -0.001 -0.001 13.075" Properties=species:S:1:pos:R:3 pbc="T T T"
Li 0.000 0.000 0.000
Li 6.814 0.000 6.153
Li 0.013 3.628 0.003
Li 0.012 3.628 6.157
Li 3.405 7.251 6.542
Li 3.407 7.251 12.695
Li 3.422 3.625 6.537
Li 3.424 3.624 12.693
Mn 0.041 0.043 3.078
Mn 3.395 3.604 9.613
Mn 3.421 0.000 9.619
Mn 6.794 3.669 3.081
P 1.233 5.434 11.084
P 1.235 5.438 8.148
P 2.190 5.444 1.611
P 2.192 5.447 4.546
P 4.643 1.816 4.546
P 4.645 1.819 1.611
P 5.598 1.807 8.149
P 5.600 1.811 11.083
O 0.134 5.438 12.122
O 0.138 5.446 7.108
O 0.515 5.436 9.615
O 1.291 4.183 1.563
O 1.293 4.185 4.598
O 1.315 6.722 1.549
O 1.316 6.725 4.605
O 2.115 4.163 8.087
O 2.114 4.159 11.141
O 2.128 6.703 8.098
O 2.125 6.700 11.140
O 2.912 5.444 3.078
O 3.286 5.431 0.570
O 3.290 5.436 5.585
O 3.545 1.804 5.584
O 3.549 1.810 0.571
O 3.924 1.816 3.078
O 4.703 3.072 8.097
O 4.705 3.075 11.132
O 4.716 0.533 8.095
O 4.719 0.536 11.143
O 5.520 3.097 1.553
O 5.518 3.095 4.608
O 5.544 0.558 1.560
O 5.543 0.556 4.595
O 6.321 1.808 9.615
O 6.693 1.812 7.108
O 6.697 1.819 12.122
```

- space-group type = P1
- V (A^3/atom) = 13.47
- ΔE_f (eV per formula unit) = -31.09
- E above lowest polymorph (eV/atom) = 0.081

(3)
Density functional theory data (GGA+U) for a geometry-optimized Ca2Nb2MoO8 structure.

extended XYZ file:
```
26
Lattice="9.574 -3.169 0.000 9.574 3.169 0.000 -0.234 0.000 5.603" Properties=species:S:1:pos:R:3 pbc="T T T"
Ca 3.919 1.137 1.344
Ca 3.802 -1.137 4.146
Ca 15.111 1.137 1.457
Ca 14.995 -1.137 4.259
Nb 7.353 0.914 1.334
Nb 11.677 0.914 1.467
Nb 7.236 -0.914 4.135
Nb 11.560 -0.914 4.269
Mo 9.398 2.318 4.202
Mo 9.515 -2.318 1.401
O 3.386 0.951 4.719
O 8.396 2.321 2.271
O 10.634 2.321 0.530
O 6.031 0.381 2.845
O 8.049 0.813 5.073
O 3.503 -0.951 1.918
O 6.148 -0.381 0.044
O 10.747 0.813 3.332
O 8.166 -0.813 2.271
O 12.765 0.381 5.559
O 15.410 0.951 3.685
O 10.864 -0.813 0.530
O 12.882 -0.381 2.758
O 8.279 -2.321 5.073
O 10.517 -2.321 3.332
O 15.527 -0.951 0.883
```

- space-group type = C2/c
- V (A^3/atom) = 13.08
- ΔE_f (eV per formula unit) = -37.33

(4)
Density functional theory data (GGA+U) for a geometry-optimized Li9Mn2Co5O16 structure.

extended XYZ file:
```
32
Lattice="2.969 0.000 0.000 1.144 7.708 0.000 0.068 0.234 12.580" Properties=species:S:1:pos:R:3 pbc="T T T"
Li 0.000 0.000 0.000
Li 1.206 6.965 8.580
Li 1.264 5.861 4.735
Li 1.334 4.067 9.352
Li 1.426 1.953 1.541
Li 2.692 7.793 6.392
Li 2.817 5.951 10.927
Li 2.824 3.906 3.139
Li 2.964 1.970 7.834
Mn 1.533 1.089 10.160
Mn 2.967 1.036 3.931
Co 1.275 4.821 0.722
Co 1.386 3.007 5.543
Co 2.712 6.759 2.353
Co 2.804 5.024 7.128
Co 2.942 3.079 11.771
O 1.207 7.586 10.560
O 1.176 6.258 6.702
O 1.282 5.381 2.632
O 1.264 4.459 11.414
O 1.287 2.490 3.627
O 1.505 3.567 7.363
O 1.616 1.732 12.071
O 1.510 0.701 8.385
O 2.813 7.315 4.222
O 2.706 6.200 0.436
O 2.801 5.356 8.845
O 2.840 4.403 5.278
O 2.812 3.438 1.011
O 3.007 2.424 9.950
O 2.918 1.595 5.806
O 3.003 0.459 2.037
```

- space-group type = P1
- V (A^3/atom) = 9.00
- ΔE_f (eV per formula unit) = -58.08
- E above lowest polymorph (eV/atom) = 0.049

(5)
Density functional theory data (GGA+U) for a geometry-optimized Rb2V6CdCu9O26 structure.

extended XYZ file:
```
44
Lattice="8.379 0.000 0.000 0.000 6.252 0.000 -1.467 0.000 10.895" Properties=species:S:1:pos:R:3 pbc="T T T"
Rb 0.000 0.000 0.000
Rb -0.929 3.126 8.593
V -0.487 0.000 6.496
V 2.377 0.000 2.986
V 1.879 0.000 9.754
V 3.993 3.126 9.742
V 5.025 3.126 5.553
V 7.956 3.126 1.996
Cd 4.810 0.000 8.198
Cu 0.232 3.126 5.389
Cu 2.576 3.126 0.302
Cu 2.582 3.126 3.592
Cu 2.474 1.590 6.732
Cu 2.474 4.662 6.732
Cu 4.908 1.566 1.806
Cu 4.908 4.685 1.806
Cu 4.820 0.000 4.908
Cu 7.165 0.000 3.134
O 0.644 3.126 0.649
O 0.670 0.000 2.996
O 0.632 3.126 3.421
O 0.535 1.439 6.546
O 0.535 4.813 6.546
O 0.934 1.413 10.040
O 0.934 4.839 10.040
O 2.215 3.126 5.551
O 2.964 1.506 2.192
O 2.964 4.746 2.192
O 2.915 0.000 4.642
O 2.568 0.000 7.933
O 2.868 3.126 8.471
O 4.576 0.000 0.029
O 4.563 3.126 0.600
O 4.486 3.126 3.893
O 4.452 1.621 6.367
O 4.452 4.631 6.367
O 5.198 0.000 2.930
O 5.024 1.771 9.561
O 5.024 4.480 9.561
O 6.879 1.717 1.937
O 6.879 4.534 1.937
O 6.770 0.000 5.118
O 6.725 3.126 5.542
O 6.992 0.000 7.941
```

- space-group type = Pm
- V (A^3/atom) = 12.97
- ΔE_f (eV per formula unit) = -74.90

(6)
Density functional theory data (GGA+U) for a geometry-optimized ZnCr4O9 structure.

extended XYZ file:
```
28
Lattice="8.402 0.000 0.000 0.000 8.402 0.000 0.000 0.000 4.918" Properties=species:S:1:pos:R:3 pbc="T T T"
Zn 2.101 2.101 0.132
Zn 6.302 6.302 4.786
Cr 0.297 5.540 1.902
Cr 1.338 8.105 3.016
Cr 2.863 4.498 3.016
Cr 3.904 7.064 1.902
Cr 4.498 1.338 3.016
Cr 5.540 3.904 1.902
Cr 7.064 0.297 1.902
Cr 8.105 2.863 3.016
O 0.202 2.675 4.639
O 0.321 1.209 2.283
O 1.209 3.880 2.283
O 1.526 0.202 4.639
O 2.101 6.302 2.459
O 2.675 4.000 4.639
O 2.992 0.321 2.283
O 3.880 2.992 2.283
O 4.000 1.526 4.639
O 4.403 6.877 0.279
O 4.522 5.411 2.635
O 5.411 8.081 2.635
O 5.727 4.403 0.279
O 6.302 2.101 2.459
O 6.877 8.201 0.279
O 7.193 4.522 2.635
O 8.081 7.193 2.635
O 8.201 5.727 0.279
```

- space-group type = P4/n
- V (A^3/atom) = 12.40
- ΔE_f (eV per formula unit) = -24.65

(7)
Density functional theory data (GGA+U) for a geometry-optimized Na8Co2O7 structure.

extended XYZ file:
```
68
Lattice="8.653 0.000 0.000 0.000 11.015 0.000 -2.888 0.000 9.680" Properties=species:S:1:pos:R:3 pbc="T T T"
Na -0.357 2.553 1.225
Na -1.801 2.954 6.065
Na -1.272 0.293 6.232
Na 0.172 5.215 1.392
Na -0.010 5.559 4.687
Na -1.454 10.964 9.528
Na 0.609 2.753 4.173
Na -0.835 2.755 9.013
Na -0.153 6.113 7.599
Na 1.292 10.410 2.759
Na 1.607 0.262 5.587
Na 3.052 5.246 0.747
Na 2.062 8.164 4.525
Na 0.618 8.359 9.365
Na 1.162 0.451 8.271
Na 2.607 5.057 3.431
Na 3.158 5.958 6.249
Na 4.602 10.564 1.409
Na 5.147 2.656 0.315
Na 3.703 2.851 5.155
Na 2.713 5.769 8.933
Na 4.157 10.753 4.093
Na 4.473 0.605 6.921
Na 5.917 4.902 2.081
Na 6.600 8.260 0.667
Na 5.156 8.263 5.507
Na 7.218 0.051 0.153
Na 5.774 5.456 4.993
Na 5.592 5.800 8.288
Na 7.036 10.722 3.448
Na 7.565 8.061 3.615
Na 6.121 8.462 8.455
Co 1.203 7.864 1.496
Co -0.242 8.658 6.336
Co 2.866 2.187 2.197
Co 1.422 3.321 7.037
Co 4.342 7.694 2.643
Co 2.898 8.828 7.483
Co 6.006 2.357 3.344
Co 4.562 3.151 8.184
O -1.372 7.168 5.849
O 0.073 9.354 1.009
O -1.401 6.795 9.628
O 0.043 9.727 4.788
O 0.706 6.815 2.913
O -0.738 9.708 7.753
O 0.205 1.924 6.592
O 1.649 3.583 1.752
O 3.204 1.229 0.638
O 1.759 4.279 5.478
O 1.377 7.717 6.928
O 2.821 8.806 2.088
O 2.354 1.222 3.668
O 0.910 4.286 8.508
O 4.855 6.729 1.172
O 3.411 9.793 6.012
O 2.943 2.209 7.592
O 4.388 3.298 2.752
O 4.005 6.736 4.202
O 2.561 9.786 9.042
O 4.116 7.432 7.928
O 5.560 9.091 3.088
O 6.503 1.307 1.927
O 5.059 4.200 6.767
O 5.722 1.288 4.892
O 7.166 4.220 0.052
O 5.692 1.661 8.671
O 7.136 3.847 3.831
```

- space-group type = P2_1/c
- V (A^3/atom) = 13.57
- ΔE_f (eV per formula unit) = -26.17

(8)
Density functional theory data (GGA+U) for a geometry-optimized Na3NiAsCO7 structure.

extended XYZ file:
```
52
Lattice="-4.653 -0.322 2.419 -4.354 1.760 -7.769 -0.505 -13.412 -2.756" Properties=species:S:1:pos:R:3 pbc="T T T"
O -2.698 -4.348 -3.893
O -4.133 -0.149 -7.032
O -4.423 -9.266 -7.000
O -6.561 -0.920 -2.836
O -3.251 -4.941 -0.906
O -5.479 -4.261 -3.807
O -4.033 -7.714 -4.299
O -4.523 -11.905 -7.541
O -2.950 -11.054 -5.271
O -7.477 -3.640 -6.463
O -7.729 -10.346 -7.841
O -4.270 -5.200 -6.163
O -4.170 -2.560 -5.621
O -4.989 -0.068 -0.565
O -5.126 -5.119 0.303
O -3.780 -1.007 -2.922
O -5.731 -10.966 -5.185
O -3.503 -11.646 -2.283
O -4.386 -6.856 -8.410
O -6.813 -7.626 -4.213
O -5.241 -6.775 -1.943
O -6.261 -7.034 -7.201
O -1.782 -1.628 -0.265
O -2.035 -8.334 -1.643
O -5.341 -9.414 -2.484
O -5.378 -11.824 -1.075
O -6.008 -0.327 -5.823
O -5.089 -2.708 -1.107
As -4.099 -4.100 -4.842
As -5.161 -1.168 -1.886
As -4.351 -10.806 -6.220
As -5.413 -7.874 -3.264
Na -2.421 -2.942 -2.099
Na -2.673 -9.648 -3.476
Na -6.962 -5.611 -5.305
Na -2.550 -6.363 -2.801
Na -7.214 -12.317 -6.683
Na -5.543 -10.192 -8.992
Na -5.291 -3.486 -7.614
Na -3.968 -1.782 0.886
Na -6.838 -2.326 -4.630
Na -2.298 0.343 -1.424
Na -4.221 -8.488 -0.492
Na -7.091 -9.032 -6.008
C -5.689 -6.819 -8.352
C -5.437 -0.112 -6.974
C -4.075 -11.861 -1.132
C -3.823 -5.156 0.246
Ni -4.181 -7.296 -6.311
Ni -5.331 -4.680 -1.796
Ni -3.928 -0.588 -4.933
Ni -5.583 -11.384 -3.173
```

- V (A^3/atom) = 12.57
- ΔE_f (eV per formula unit) = -25.04

What did the eighth record say?
Density functional theory data (GGA+U) for a geometry-optimized Na3NiAsCO7 structure.

extended XYZ file:
```
52
Lattice="-4.653 -0.322 2.419 -4.354 1.760 -7.769 -0.505 -13.412 -2.756" Properties=species:S:1:pos:R:3 pbc="T T T"
O -2.698 -4.348 -3.893
O -4.133 -0.149 -7.032
O -4.423 -9.266 -7.000
O -6.561 -0.920 -2.836
O -3.251 -4.941 -0.906
O -5.479 -4.261 -3.807
O -4.033 -7.714 -4.299
O -4.523 -11.905 -7.541
O -2.950 -11.054 -5.271
O -7.477 -3.640 -6.463
O -7.729 -10.346 -7.841
O -4.270 -5.200 -6.163
O -4.170 -2.560 -5.621
O -4.989 -0.068 -0.565
O -5.126 -5.119 0.303
O -3.780 -1.007 -2.922
O -5.731 -10.966 -5.185
O -3.503 -11.646 -2.283
O -4.386 -6.856 -8.410
O -6.813 -7.626 -4.213
O -5.241 -6.775 -1.943
O -6.261 -7.034 -7.201
O -1.782 -1.628 -0.265
O -2.035 -8.334 -1.643
O -5.341 -9.414 -2.484
O -5.378 -11.824 -1.075
O -6.008 -0.327 -5.823
O -5.089 -2.708 -1.107
As -4.099 -4.100 -4.842
As -5.161 -1.168 -1.886
As -4.351 -10.806 -6.220
As -5.413 -7.874 -3.264
Na -2.421 -2.942 -2.099
Na -2.673 -9.648 -3.476
Na -6.962 -5.611 -5.305
Na -2.550 -6.363 -2.801
Na -7.214 -12.317 -6.683
Na -5.543 -10.192 -8.992
Na -5.291 -3.486 -7.614
Na -3.968 -1.782 0.886
Na -6.838 -2.326 -4.630
Na -2.298 0.343 -1.424
Na -4.221 -8.488 -0.492
Na -7.091 -9.032 -6.008
C -5.689 -6.819 -8.352
C -5.437 -0.112 -6.974
C -4.075 -11.861 -1.132
C -3.823 -5.156 0.246
Ni -4.181 -7.296 -6.311
Ni -5.331 -4.680 -1.796
Ni -3.928 -0.588 -4.933
Ni -5.583 -11.384 -3.173
```

- V (A^3/atom) = 12.57
- ΔE_f (eV per formula unit) = -25.04